[1]
The following is a PBE-GGA calculation of crystalline Sc2Cd3Ge3O12 at its relaxed geometry, from the Materials Project database.

a b c (Å): 10.953 10.953 10.953
angles (deg): 109.47 109.47 109.47
Atoms (fractional coordinates):
Sc 0.000 0.000 0.000
Sc 0.000 0.000 0.500
Sc 0.000 0.500 0.000
Sc 0.000 0.500 0.500
Sc 0.500 0.000 0.000
Sc 0.500 0.000 0.500
Sc 0.500 0.500 0.000
Sc 0.500 0.500 0.500
Cd 0.125 0.250 0.375
Cd 0.125 0.375 0.750
Cd 0.250 0.375 0.125
Cd 0.250 0.875 0.625
Cd 0.375 0.125 0.250
Cd 0.375 0.750 0.125
Cd 0.625 0.250 0.875
Cd 0.625 0.875 0.750
Cd 0.750 0.125 0.375
Cd 0.750 0.625 0.875
Cd 0.875 0.625 0.250
Cd 0.875 0.750 0.625
Ge 0.125 0.750 0.875
Ge 0.125 0.875 0.250
Ge 0.250 0.125 0.875
Ge 0.250 0.625 0.375
Ge 0.375 0.250 0.625
Ge 0.375 0.625 0.750
Ge 0.625 0.375 0.250
Ge 0.625 0.750 0.375
Ge 0.750 0.375 0.625
Ge 0.750 0.875 0.125
Ge 0.875 0.125 0.750
Ge 0.875 0.250 0.125
O 0.017 0.207 0.122
O 0.017 0.311 0.896
O 0.085 0.707 0.689
O 0.085 0.878 0.396
O 0.104 0.622 0.415
O 0.104 0.983 0.689
O 0.122 0.017 0.207
O 0.122 0.604 0.915
O 0.189 0.207 0.585
O 0.189 0.483 0.604
O 0.207 0.122 0.017
O 0.207 0.585 0.189
O 0.293 0.311 0.915
O 0.293 0.483 0.378
O 0.311 0.896 0.017
O 0.311 0.915 0.293
O 0.378 0.293 0.483
O 0.378 0.585 0.896
O 0.396 0.085 0.878
O 0.396 0.811 0.517
O 0.415 0.104 0.622
O 0.415 0.811 0.793
O 0.483 0.378 0.293
O 0.483 0.604 0.189
O 0.517 0.396 0.811
O 0.517 0.622 0.707
O 0.585 0.189 0.207
O 0.585 0.896 0.378
O 0.604 0.189 0.483
O 0.604 0.915 0.122
O 0.622 0.415 0.104
O 0.622 0.707 0.517
O 0.689 0.085 0.707
O 0.689 0.104 0.983
O 0.707 0.517 0.622
O 0.707 0.689 0.085
O 0.793 0.415 0.811
O 0.793 0.878 0.983
O 0.811 0.517 0.396
O 0.811 0.793 0.415
O 0.878 0.396 0.085
O 0.878 0.983 0.793
O 0.896 0.017 0.311
O 0.896 0.378 0.585
O 0.915 0.122 0.604
O 0.915 0.293 0.311
O 0.983 0.689 0.104
O 0.983 0.793 0.878

Computed properties:
* ΔE_f: -2.414 eV/atom

[2]
The following is a PBE-GGA calculation of crystalline RbCoBr3 at its relaxed geometry, from the Materials Project database.

a b c (Å): 12.916 12.916 6.244
angles (deg): 90.00 90.00 120.00
Atoms (fractional coordinates):
Rb 0.000 0.332 0.000
Rb 0.000 0.668 0.500
Rb 0.332 0.000 0.000
Rb 0.332 0.332 0.500
Rb 0.668 0.000 0.500
Rb 0.668 0.668 0.000
Co 0.000 0.000 0.237
Co 0.000 0.000 0.737
Co 0.333 0.667 0.222
Co 0.333 0.667 0.722
Co 0.667 0.333 0.281
Co 0.667 0.333 0.781
Br 0.000 0.159 0.487
Br 0.000 0.841 0.987
Br 0.159 0.000 0.487
Br 0.159 0.159 0.987
Br 0.175 0.508 0.471
Br 0.175 0.666 0.971
Br 0.334 0.508 0.971
Br 0.334 0.825 0.471
Br 0.492 0.666 0.471
Br 0.492 0.825 0.971
Br 0.507 0.174 0.533
Br 0.507 0.333 0.033
Br 0.667 0.174 0.033
Br 0.667 0.493 0.533
Br 0.826 0.333 0.533
Br 0.826 0.493 0.033
Br 0.841 0.000 0.987
Br 0.841 0.841 0.487

Computed properties:
* ΔE_f: -1.185 eV/atom